# NbVO4 | Materials Project | PBE with a Hubbard U | relaxed
# **Spin magnetization**: 2.00 μB per formula unit
# **Symmetry**: No. 14
# **Energy of formation**: -2.76 eV/atom
data_NbVO4
_chemical_formula_sum 'Nb4 V4 O16'
_space_group_name_H-M_alt 'P 1'
_space_group_IT_number 1
_space_group_name_Hall 'P 1'
_cell_length_a 4.8920
_cell_length_b 4.6538
_cell_length_c 11.6308
_cell_angle_alpha 89.85
_cell_angle_beta 90.00
_cell_angle_gamma 90.00
loop_
_atom_site_label
_atom_site_type_symbol
_atom_site_fract_x
_atom_site_fract_y
_atom_site_fract_z
Nb1 Nb 0.2576 0.4989 0.6760
Nb2 Nb 0.2424 0.9989 0.1760
Nb3 Nb 0.7575 0.0011 0.8240
Nb4 Nb 0.7425 0.5011 0.3240
V1 V 0.2530 0.5001 0.9393
V2 V 0.2470 0.0001 0.4393
V3 V 0.7530 0.9999 0.5607
V4 V 0.7470 0.4999 0.0607
O1 O 0.0782 0.7266 0.8126
O2 O 0.5817 0.7429 0.9377
O3 O 0.4218 0.2266 0.3126
O4 O 0.4270 0.2723 0.8126
O5 O 0.9183 0.2429 0.4377
O6 O 0.9193 0.2577 0.9388
O7 O 0.4193 0.2423 0.5612
O8 O 0.9270 0.2277 0.6874
O9 O 0.0730 0.7723 0.3126
O10 O 0.5807 0.7577 0.4388
O11 O 0.0807 0.7423 0.0612
O12 O 0.0817 0.7571 0.5623
O13 O 0.5730 0.7277 0.1874
O14 O 0.5782 0.7734 0.6874
O15 O 0.4183 0.2571 0.0623
O16 O 0.9218 0.2734 0.1874

---

# NbV2O7 | Materials Project | PBE with a Hubbard U | relaxed
# **Spin magnetization**: 1.00 μB per formula unit
# **Symmetry**: No. 205
# **Energy of formation**: -2.59 eV/atom
data_NbV2O7
_chemical_formula_sum 'Nb4 V8 O28'
_space_group_name_H-M_alt 'P 1'
_space_group_IT_number 1
_space_group_name_Hall 'P 1'
_cell_length_a 8.9153
_cell_length_b 8.9153
_cell_length_c 8.9153
_cell_angle_alpha 90.00
_cell_angle_beta 90.00
_cell_angle_gamma 90.00
loop_
_atom_site_label
_atom_site_type_symbol
_atom_site_fract_x
_atom_site_fract_y
_atom_site_fract_z
Nb1 Nb 0.0000 0.0000 0.0000
Nb2 Nb 0.0000 0.5000 0.5000
Nb3 Nb 0.5000 0.0000 0.5000
Nb4 Nb 0.5000 0.5000 0.0000
V1 V 0.1156 0.8844 0.3844
V2 V 0.1156 0.6156 0.8844
V3 V 0.3844 0.3844 0.3844
V4 V 0.3844 0.1156 0.8844
V5 V 0.6156 0.6156 0.6156
V6 V 0.6156 0.8844 0.1156
V7 V 0.8844 0.1156 0.6156
V8 V 0.8844 0.3844 0.1156
O1 O 0.0000 0.0000 0.5000
O2 O 0.0000 0.5000 0.0000
O3 O 0.0615 0.6982 0.4104
O4 O 0.0615 0.8018 0.9104
O5 O 0.0896 0.5615 0.6982
O6 O 0.0896 0.9385 0.1982
O7 O 0.1982 0.0896 0.9385
O8 O 0.1982 0.4104 0.4385
O9 O 0.3018 0.5896 0.9385
O10 O 0.3018 0.9104 0.4385
O11 O 0.4104 0.0615 0.6982
O12 O 0.4104 0.4385 0.1982
O13 O 0.4385 0.3018 0.9104
O14 O 0.4385 0.1982 0.4104
O15 O 0.5000 0.5000 0.5000
O16 O 0.5000 0.0000 0.0000
O17 O 0.5615 0.6982 0.0896
O18 O 0.5615 0.8018 0.5896
O19 O 0.5896 0.5615 0.8018
O20 O 0.5896 0.9385 0.3018
O21 O 0.6982 0.0896 0.5615
O22 O 0.6982 0.4104 0.0615
O23 O 0.8018 0.5896 0.5615
O24 O 0.8018 0.9104 0.0615
O25 O 0.9104 0.0615 0.8018
O26 O 0.9104 0.4385 0.3018
O27 O 0.9385 0.1982 0.0896
O28 O 0.9385 0.3018 0.5896

---

# NbVO4 | Materials Project | PBE with a Hubbard U | relaxed
# **Symmetry**: No. 10
# **Energy of formation**: -2.81 eV/atom
data_NbVO4
_chemical_formula_sum 'Nb2 V2 O8'
_space_group_name_H-M_alt 'P 1'
_space_group_IT_number 1
_space_group_name_Hall 'P 1'
_cell_length_a 3.1172
_cell_length_b 9.4747
_cell_length_c 4.7287
_cell_angle_alpha 91.15
_cell_angle_beta 90.03
_cell_angle_gamma 90.03
loop_
_atom_site_label
_atom_site_type_symbol
_atom_site_fract_x
_atom_site_fract_y
_atom_site_fract_z
Nb1 Nb 0.0008 0.2497 0.4994
Nb2 Nb 0.0006 0.7503 0.5006
V1 V 0.5000 0.0000 0.0000
V2 V 0.5001 0.5000 0.0000
O1 O 0.9992 0.1001 0.2000
O2 O 0.9997 0.5998 0.1995
O3 O 0.9999 0.4002 0.8004
O4 O 0.0004 0.8999 0.8000
O5 O 0.4998 0.3466 0.3069
O6 O 0.4999 0.8475 0.3048
O7 O 0.4998 0.1525 0.6952
O8 O 0.4999 0.6534 0.6931

---

# NbVO4 | Materials Project | PBE with a Hubbard U | relaxed
# **Largest piezoelectric modulus**: 4.5 C/m2
# **Symmetry**: No. 8
# **Energy of formation**: -2.82 eV/atom
data_NbVO4
_chemical_formula_sum 'Nb4 V4 O16'
_space_group_name_H-M_alt 'P 1'
_space_group_IT_number 1
_space_group_name_Hall 'P 1'
_cell_length_a 6.5654
_cell_length_b 7.8591
_cell_length_c 6.8038
_cell_angle_alpha 115.65
_cell_angle_beta 90.00
_cell_angle_gamma 114.31
loop_
_atom_site_label
_atom_site_type_symbol
_atom_site_fract_x
_atom_site_fract_y
_atom_site_fract_z
Nb1 Nb 0.7620 0.5292 0.2646
Nb2 Nb 0.5114 0.0293 0.0146
Nb3 Nb 0.2622 0.5292 0.7646
Nb4 Nb 0.0117 0.0292 0.5146
V1 V 0.6189 0.2431 0.6215
V2 V 0.8697 0.7445 0.8722
V3 V 0.3698 0.7445 0.3722
V4 V 0.1192 0.2432 0.1216
O1 O 0.4427 0.4884 0.2442
O2 O 0.1951 0.9891 0.9945
O3 O 0.9423 0.4900 0.7449
O4 O 0.6934 0.9881 0.4940
O5 O 0.2884 0.9861 0.4931
O6 O 0.0394 0.4866 0.2433
O7 O 0.7891 0.9850 0.9925
O8 O 0.5375 0.4850 0.7425
O9 O 0.8693 0.7444 0.5705
O10 O 0.6200 0.2444 0.3207
O11 O 0.3697 0.7444 0.0706
O12 O 0.1192 0.2444 0.8207
O13 O 0.8693 0.7444 0.1739
O14 O 0.6200 0.2444 0.9238
O15 O 0.3697 0.7444 0.6739
O16 O 0.1192 0.2444 0.4238

---

# NbVO4 | Materials Project | PBE with a Hubbard U | relaxed
# **Spin magnetization**: 2.00 μB per formula unit
# **Symmetry**: No. 119
# **Energy of formation**: -2.80 eV/atom
data_NbVO4
_chemical_formula_sum 'Nb1 V1 O4'
_space_group_name_H-M_alt 'P 1'
_space_group_IT_number 1
_space_group_name_Hall 'P 1'
_cell_length_a 5.6835
_cell_length_b 5.6835
_cell_length_c 5.6835
_cell_angle_alpha 139.34
_cell_angle_beta 139.34
_cell_angle_gamma 58.86
loop_
_atom_site_label
_atom_site_type_symbol
_atom_site_fract_x
_atom_site_fract_y
_atom_site_fract_z
Nb1 Nb 0.0000 0.0000 0.0000
V1 V 0.7500 0.2500 0.5000
O1 O 0.5362 0.0362 0.5000
O2 O 0.2051 0.2051 0.0000
O3 O 0.9638 0.4638 0.5000
O4 O 0.7949 0.7949 0.0000

---

# NbVO4 | Materials Project | PBE with a Hubbard U | relaxed
# **Spin magnetization**: 2.00 μB per formula unit
# **Symmetry**: No. 1
# **Energy of formation**: -2.80 eV/atom
data_NbVO4
_chemical_formula_sum 'Nb4 V4 O16'
_space_group_name_H-M_alt 'P 1'
_space_group_IT_number 1
_space_group_name_Hall 'P 1'
_cell_length_a 3.9480
_cell_length_b 14.9241
_cell_length_c 5.6725
_cell_angle_alpha 90.80
_cell_angle_beta 69.36
_cell_angle_gamma 97.78
loop_
_atom_site_label
_atom_site_type_symbol
_atom_site_fract_x
_atom_site_fract_y
_atom_site_fract_z
Nb1 Nb 0.9851 0.9957 0.9980
Nb2 Nb 0.9945 0.2467 0.2450
Nb3 Nb 0.9893 0.4959 0.5010
Nb4 Nb 0.9889 0.7464 0.7462
V1 V 0.7576 0.5651 0.0651
V2 V 0.7615 0.8140 0.3136
V3 V 0.7523 0.0647 0.5624
V4 V 0.7574 0.3131 0.8105
O1 O 0.9654 0.1161 0.1915
O2 O 0.9679 0.3650 0.4382
O3 O 0.9714 0.6166 0.6895
O4 O 0.9752 0.8662 0.9378
O5 O 0.5347 0.0125 0.9391
O6 O 0.5378 0.2570 0.1830
O7 O 0.5371 0.5112 0.4399
O8 O 0.5394 0.7618 0.6874
O9 O 0.7894 0.2000 0.6105
O10 O 0.7933 0.4506 0.8571
O11 O 0.7894 0.7002 0.1082
O12 O 0.7878 0.9490 0.3563
O13 O 0.2088 0.7991 0.3907
O14 O 0.2031 0.0484 0.6400
O15 O 0.2064 0.3051 0.8961
O16 O 0.2062 0.5494 0.1428